# SrCaSmNbO6

Crystalline SrCaSmNbO6 at its relaxed geometry (PBE, Materials Project).

Values from the calculation:
ΔH_f (0 K) (eV per atom): -3.3564
Energy relative to the lowest polymorph listed for this composition (eV/f.u.): 0.00
Raw total energy (eV per atom): -7.76

Cell and atoms, written as CIF:
```
data_SrCaSmNbO6
_chemical_formula_sum 'Sr4 Ca4 Sm4 Nb4 O24'
_symmetry_space_group_name_H-M 'P 2 2 2'
_symmetry_Int_Tables_number 16
_cell_length_a 8.380
_cell_length_b 8.390
_cell_length_c 8.392
_cell_angle_alpha 90.00
_cell_angle_beta 90.00
_cell_angle_gamma 90.00
loop_
_symmetry_equiv_pos_as_xyz
'x,y,z'
'-x,-y,z'
'x,-y,-z'
'-x,y,-z'
loop_
_atom_site_label
_atom_site_type_symbol
_atom_site_fract_x
_atom_site_fract_y
_atom_site_fract_z
Sr1 Sr 0.000 0.000 0.000
Sr2 Sr 0.000 0.000 0.500
Sr3 Sr 0.500 0.000 0.000
Sr4 Sr 0.500 0.500 0.500
Ca1 Ca 0.000 0.500 0.000
Ca2 Ca 0.000 0.500 0.500
Ca3 Ca 0.500 0.000 0.500
Ca4 Ca 0.500 0.500 0.000
Sm1 Sm 0.250 0.253 0.751
Nb1 Nb 0.250 0.253 0.251
O1 O 0.017 0.215 0.200
O2 O 0.195 0.483 0.296
O3 O 0.217 0.204 0.484
O4 O 0.292 0.017 0.214
O5 O 0.293 0.307 0.018
O6 O 0.484 0.286 0.296
```